Entry 1:
{"formula": "CeZnSn", "functional": "GGA-PBE", "state": "relaxed", "lattice_angstrom": [[4.596, 0.000, 0.000], [-2.298, 3.980, 0.000], [0.000, 0.000, 16.516]], "species": ["Ce", "Ce", "Ce", "Ce", "Zn", "Zn", "Zn", "Zn", "Sn", "Sn", "Sn", "Sn"], "fractional_positions": [[0.000, 0.000, 0.000], [0.000, 0.000, 0.250], [0.000, 0.000, 0.500], [0.000, 0.000, 0.750], [0.333, 0.667, 0.155], [0.333, 0.667, 0.345], [0.667, 0.333, 0.655], [0.667, 0.333, 0.845], [0.333, 0.667, 0.617], [0.333, 0.667, 0.883], [0.667, 0.333, 0.117], [0.667, 0.333, 0.383]], "total_energy_ev_per_cell": -51.528, "space_group": "P6_3/mmc"}

---

Entry 2:
{"formula": "Sr3Ce", "functional": "GGA-PBE", "state": "relaxed", "lattice_angstrom": [[8.193, 0.000, 0.000], [-4.097, 7.096, 0.000], [0.000, 0.000, 6.489]], "species": ["Sr", "Sr", "Sr", "Sr", "Sr", "Sr", "Ce", "Ce"], "fractional_positions": [[0.171, 0.341, 0.250], [0.171, 0.829, 0.250], [0.341, 0.171, 0.750], [0.659, 0.829, 0.250], [0.829, 0.171, 0.750], [0.829, 0.659, 0.750], [0.333, 0.667, 0.750], [0.667, 0.333, 0.250]], "total_energy_ev_per_cell": -19.764, "space_group": "P6_3/mmc"}

---

Entry 3:
{"formula": "Tb3Ce", "functional": "GGA-PBE", "state": "relaxed", "lattice_angstrom": [[7.158, 0.000, 0.000], [-3.579, 6.199, 0.000], [0.000, 0.000, 5.741]], "species": ["Tb", "Tb", "Tb", "Tb", "Tb", "Tb", "Ce", "Ce"], "fractional_positions": [[0.167, 0.334, 0.250], [0.167, 0.833, 0.250], [0.334, 0.167, 0.750], [0.666, 0.833, 0.250], [0.833, 0.167, 0.750], [0.833, 0.666, 0.750], [0.333, 0.667, 0.750], [0.667, 0.333, 0.250]], "total_energy_ev_per_cell": -39.069, "space_group": "P6_3/mmc", "de_polymorph_mev_per_atom": 11.5}

---

Entry 4:
{"formula": "Tb3Ce", "functional": "GGA-PBE", "state": "relaxed", "lattice_angstrom": [[-2.500, 2.500, 4.950], [2.500, -2.500, 4.950], [2.500, 2.500, -4.950]], "species": ["Tb", "Tb", "Tb", "Ce"], "fractional_positions": [[0.000, 0.000, 0.000], [0.250, 0.750, 0.500], [0.750, 0.250, 0.500], [0.500, 0.500, 0.000]], "total_energy_ev_per_cell": -19.496, "space_group": "I4/mmm", "de_polymorph_mev_per_atom": 21.2}

---

Entry 5:
{"formula": "TbCe3", "functional": "GGA-PBE", "state": "relaxed", "lattice_angstrom": [[-2.396, 2.396, 4.876], [2.396, -2.396, 4.876], [2.396, 2.396, -4.876]], "species": ["Tb", "Ce", "Ce", "Ce"], "fractional_positions": [[0.000, 0.000, 0.000], [0.250, 0.750, 0.500], [0.500, 0.500, 0.000], [0.750, 0.250, 0.500]], "total_energy_ev_per_cell": -22.052, "space_group": "I4/mmm"}

---

Entry 6:
{"formula": "Tb3Ce", "functional": "GGA-PBE", "state": "relaxed", "lattice_angstrom": [[3.556, 0.000, 0.000], [-1.778, 3.079, 0.000], [0.000, 0.000, 11.592]], "species": ["Tb", "Tb", "Tb", "Ce"], "fractional_positions": [[0.000, 0.000, 0.000], [0.667, 0.333, 0.250], [0.667, 0.333, 0.750], [0.000, 0.000, 0.500]], "total_energy_ev_per_cell": -19.581, "space_group": "P-6m2", "de_polymorph_mev_per_atom": 0.0}

---

The records above yield energy of formation from the pure elements values of -1.68; 1.12; 0.30; 0.34; 0.38; 0.26 eV per formula unit, respectively.